Dy2P4O13 | PBE | relaxed

Output
Size of the total moment = 0.00 μB per cell
Formation energy = -59.80 eV per formula unit
Relative energy among the computed polymorphs = 21 meV/atom

```
data_Dy2P4O13
_chemical_formula_sum 'Dy8 P16 O52'
_space_group_name_H-M_alt 'P 1 21/c 1'
_space_group_IT_number 14
_cell_length_a 8.854
_cell_length_b 9.718
_cell_length_c 14.132
_cell_angle_alpha 90.00
_cell_angle_beta 105.82
_cell_angle_gamma 90.00
loop_
_space_group_symop_operation_xyz
'x,y,z'
'-x,-y,-z'
'-x,y+1/2,-z+1/2'
'x,-y+1/2,z+1/2'
loop_
_atom_site_label
_atom_site_type_symbol
_atom_site_fract_x
_atom_site_fract_y
_atom_site_fract_z
Dy1 Dy 0.214 0.006 0.012
Dy2 Dy 0.284 0.001 0.493
P1 P 0.029 0.221 0.595
P2 P 0.110 0.245 0.313
P3 P 0.234 0.733 0.187
P4 P 0.458 0.720 0.403
O1 O 0.012 0.127 0.060
O2 O 0.071 0.695 0.211
O3 O 0.122 0.140 0.539
O4 O 0.125 0.654 0.905
O5 O 0.136 0.124 0.872
O6 O 0.136 0.225 0.708
O7 O 0.215 0.126 0.356
O8 O 0.226 0.624 0.645
O9 O 0.274 0.619 0.126
O10 O 0.360 0.733 0.290
O11 O 0.366 0.633 0.457
O12 O 0.387 0.154 0.098
O13 O 0.480 0.629 0.942
```